a | Material: Tm5Ga3
Method: DFT, PBE-GGA
State: relaxed

Properties
* ρ: 8.71 g/cm³

Unit cell a=8.5097 b=8.5097 c=6.4066 alpha=90.00 beta=90.00 gamma=120.00
Last column: nearest neighbours and their distance in Å.
Positions (direct):
Tm: 0.0000 0.2438 0.7500  3 Ga 2.96-3.04
Tm: 0.6667 0.3333 0.0000  6 Ga 3.06, 2 Tm 3.20
Ga: 0.0000 0.6012 0.7500  7 Tm 2.96-3.06
Tm: 0.3333 0.6667 0.0000  6 Ga 3.06, 2 Tm 3.20
Tm: 0.0000 0.7562 0.2500  3 Ga 2.96-3.04
Tm: 0.7562 0.7562 0.7500  3 Ga 2.96-3.04
Tm: 0.2438 0.2438 0.2500  3 Ga 2.96-3.04
Ga: 0.3988 0.0000 0.2500  7 Tm 2.96-3.06
Ga: 0.0000 0.3988 0.2500  7 Tm 2.96-3.06
Tm: 0.2438 0.0000 0.7500  3 Ga 2.96-3.04
Ga: 0.3988 0.3988 0.7500  7 Tm 2.96-3.06
Tm: 0.7562 0.0000 0.2500  3 Ga 2.96-3.04
Ga: 0.6012 0.6012 0.2500  7 Tm 2.96-3.06
Ga: 0.6012 0.0000 0.7500  7 Tm 2.96-3.06
Tm: 0.6667 0.3333 0.5000  6 Ga 3.06, 2 Tm 3.20
Tm: 0.3333 0.6667 0.5000  6 Ga 3.06, 2 Tm 3.20

b | Material: Tm5Ga3
Method: DFT, PBE-GGA
State: relaxed

Properties
* ρ: 8.74 g/cm³

Unit cell a=8.4983 b=8.4983 c=6.4021 alpha=89.17 beta=89.17 gamma=119.99
Last column: nearest neighbours and their distance in Å.
Positions (direct):
Tm: 0.1472 0.8528 0.5000  6 Ga 2.96-3.14, 2 Tm 3.24
Tm: 0.7342 0.7342 0.7709  4 Ga 3.01-3.10
Ga: 0.9048 0.9048 0.1926  1 Ga 2.91, 8 Tm 3.01-3.10
Ga: 0.9029 0.4995 0.7143  8 Tm 2.96-3.22, 1 Ga 3.18
Tm: 0.1828 0.8172 0.0000  6 Ga 3.00-3.18, 2 Tm 3.24
Tm: 0.2564 0.4982 0.7376  4 Ga 3.00-3.22
Tm: 0.7436 0.5018 0.2624  4 Ga 3.00-3.22
Tm: 0.2658 0.2658 0.2291  4 Ga 3.01-3.10
Ga: 0.4995 0.9029 0.7143  8 Tm 2.96-3.22, 1 Ga 3.18
Ga: 0.0952 0.0952 0.8074  1 Ga 2.91, 8 Tm 3.01-3.10
Tm: 0.8172 0.1828 0.0000  6 Ga 3.00-3.18, 2 Tm 3.24
Ga: 0.5005 0.0971 0.2857  8 Tm 2.96-3.22, 1 Ga 3.18
Tm: 0.4982 0.2564 0.7376  4 Ga 3.00-3.22
Ga: 0.0971 0.5005 0.2857  8 Tm 2.96-3.22, 1 Ga 3.18
Tm: 0.5018 0.7436 0.2624  4 Ga 3.00-3.22
Tm: 0.8528 0.1472 0.5000  6 Ga 2.96-3.14, 2 Tm 3.24

Calculated relative energies: a 15; b 0, given in meV/atom

a | Material: BaLa2Cl8
Method: DFT, PBE-GGA
State: relaxed

Properties
* ρ: 3.33 g/cm³

Unit cell a=10.1572 b=10.1572 c=10.1572 alpha=98.91 beta=98.91 gamma=133.66
Last column: nearest neighbours and their distance in Å.
Positions (direct):
Cl: 0.5520 0.0314 0.6980  1 La 2.68
Cl: 0.6644 0.7354 0.5831  2 La 2.83-2.92
Cl: 0.5658 0.7527 0.9053  2 La 2.86-3.00, 1 Ba 3.05
Cl: 0.7163 0.9273 0.2644  2 La 2.92-2.98
Cl: 0.2473 0.1526 0.8131  2 La 2.86-3.00, 1 Ba 3.05
Cl: 0.1460 0.4480 0.4794  1 La 2.68
Cl: 0.0727 0.3371 0.7890  2 La 2.92-2.98
La: 0.3110 0.6581 0.0736  7 Cl 2.68-3.00
Ba: 0.0000 0.0000 0.0000  4 Cl 3.05
La: 0.3419 0.4155 0.6528  7 Cl 2.68-3.00
Cl: 0.8474 0.6605 0.0947  2 La 2.86-3.00, 1 Ba 3.05
Cl: 0.9686 0.6666 0.5206  1 La 2.68
Ba: 0.7500 0.2500 0.5000  4 Cl 3.08
Cl: 0.2646 0.8478 0.9291  2 La 2.83-2.92
Cl: 0.6629 0.4519 0.7356  2 La 2.92-2.98
La: 0.7627 0.6891 0.3472  7 Cl 2.68-3.00
Cl: 0.9187 0.3356 0.0709  2 La 2.83-2.92
Cl: 0.3395 0.4342 0.1869  2 La 2.86-3.00, 1 Ba 3.05
La: 0.5845 0.2373 0.9264  7 Cl 2.68-3.00
Cl: 0.5481 0.2837 0.2110  2 La 2.92-2.98
Cl: 0.3334 0.8540 0.3020  1 La 2.68
Cl: 0.1522 0.0813 0.4169  2 La 2.83-2.92

b | Material: BaLa2Cl8
Method: DFT, PBE-GGA
State: relaxed

Properties
* ρ: 2.70 g/cm³

Unit cell a=10.3926 b=10.3926 c=10.7213 alpha=64.39 beta=64.39 gamma=58.74
Last column: nearest neighbours and their distance in Å.
Positions (direct):
Cl: 0.3140 0.3328 0.6834  2 La 2.80-2.85
Cl: 0.0371 0.6612 0.9384  2 La 2.85-2.97
Cl: 0.3388 0.9629 0.5616  2 La 2.85-2.97
Cl: 0.6672 0.6860 0.8166  2 La 2.80-2.85
Cl: 0.6860 0.6672 0.3166  2 La 2.80-2.85
La: 0.0025 0.4755 0.2286  6 Cl 2.71-2.97
Cl: 0.7971 0.0313 0.0810  1 La 2.78
Cl: 0.6612 0.0371 0.4384  2 La 2.85-2.97
La: 0.4755 0.0025 0.7286  6 Cl 2.71-2.97
Cl: 0.2029 0.9687 0.9190  1 La 2.78
Cl: 0.0313 0.7971 0.5810  1 La 2.78
La: 0.9975 0.5245 0.7714  6 Cl 2.71-2.97
Cl: 0.9461 0.3546 0.6791  1 La 2.71
La: 0.5245 0.9975 0.2714  6 Cl 2.71-2.97
Cl: 0.3328 0.3140 0.1834  2 La 2.80-2.85
Ba: 0.0197 0.9803 0.2500  8 Cl 3.08-3.25
Cl: 0.0539 0.6454 0.3209  1 La 2.71
Ba: 0.9803 0.0197 0.7500  8 Cl 3.08-3.25
Cl: 0.9687 0.2029 0.4190  1 La 2.78
Cl: 0.6454 0.0539 0.8209  1 La 2.71
Cl: 0.3546 0.9461 0.1791  1 La 2.71
Cl: 0.9629 0.3388 0.0616  2 La 2.85-2.97

Calculated relative energies: a 21; b 0, given in meV/atom

a | Material: SrH6C2O6
Method: DFT, PBE-GGA
State: relaxed

Properties
* ρ: 2.16 g/cm³

Unit cell a=7.2125 b=7.4669 c=12.2116 alpha=90.00 beta=90.00 gamma=90.00
Last column: nearest neighbours and their distance in Å.
Positions (direct):
H: 0.2960 0.1125 0.1671  1 O 1.00
O: 0.5150 0.5786 0.0904  2 H 0.99-1.01
O: 0.0150 0.9214 0.9096  2 H 0.99-1.01
O: 0.1225 0.5629 0.2409  1 C 1.27
Sr: 0.3072 0.2444 0.5720  8 O 2.57-2.73
C: 0.2867 0.5235 0.8126  1 H 1.11
H: 0.8669 0.0140 0.6902  1 C 1.11
H: 0.3711 0.9536 0.7436  1 O 1.00
H: 0.0310 0.5447 0.5708  1 O 1.01
H: 0.6289 0.4536 0.7564  1 O 1.00
H: 0.5280 0.2017 0.9216  1 C 1.11
O: 0.8883 0.2537 0.9363  1 C 1.27
Sr: 0.1928 0.7556 0.0720  8 O 2.57-2.73
H: 0.4105 0.0595 0.3423  1 O 0.99
H: 0.9720 0.7983 0.4216  1 C 1.11
O: 0.2422 0.9829 0.7203  2 H 1.00
C: 0.4563 0.1412 0.9926  1 H 1.11
O: 0.6117 0.7463 0.4363  1 C 1.27
C: 0.5437 0.6412 0.5074  1 H 1.11
O: 0.7422 0.5171 0.2797  2 H 1.00
O: 0.6225 0.9371 0.7591  1 C 1.27
H: 0.3669 0.4860 0.3098  1 C 1.11
C: 0.9563 0.3588 0.0074  1 H 1.11
O: 0.3558 0.6200 0.8879  1 C 1.27
H: 0.8711 0.5464 0.2564  1 O 1.00
H: 0.0895 0.9405 0.8423  1 O 0.99
Sr: 0.8072 0.2556 0.4280  8 O 2.57-2.73
H: 0.9105 0.4405 0.6577  1 O 0.99
O: 0.7578 0.4829 0.7797  2 H 1.00
H: 0.2040 0.8875 0.6671  1 O 1.00
C: 0.7867 0.9765 0.1874  1 H 1.11
O: 0.4850 0.0786 0.4096  2 H 0.99-1.01
O: 0.5513 0.4710 0.5031  1 C 1.27
O: 0.0513 0.0290 0.4969  1 C 1.27
O: 0.9850 0.4214 0.5904  2 H 0.99-1.01
H: 0.1289 0.0464 0.2436  1 O 1.00
O: 0.6442 0.1200 0.6121  1 C 1.27
O: 0.3883 0.2463 0.0637  1 C 1.27
C: 0.0437 0.8588 0.4926  1 H 1.11
H: 0.9690 0.0447 0.9292  1 O 1.01
H: 0.5310 0.9553 0.4292  1 O 1.01
H: 0.7040 0.6125 0.3329  1 O 1.00
C: 0.7133 0.0235 0.6874  1 H 1.11
H: 0.7960 0.3875 0.8329  1 O 1.00
H: 0.4720 0.7017 0.5784  1 C 1.11
O: 0.9487 0.5290 0.0031  1 C 1.27
Sr: 0.6928 0.7444 0.9280  8 O 2.57-2.73
H: 0.6331 0.9860 0.1902  1 C 1.11
H: 0.4690 0.4553 0.0708  1 O 1.01
O: 0.8775 0.0629 0.2591  1 C 1.27
O: 0.1442 0.3800 0.3879  1 C 1.27
O: 0.3775 0.4371 0.7409  1 C 1.27
H: 0.0280 0.2983 0.0784  1 C 1.11
O: 0.4487 0.9710 0.9969  1 C 1.27
O: 0.1117 0.7537 0.5637  1 C 1.27
O: 0.2578 0.0171 0.2203  2 H 1.00
O: 0.8558 0.8800 0.1121  1 C 1.27
H: 0.5895 0.5595 0.1577  1 O 0.99
H: 0.1331 0.5140 0.8098  1 C 1.11
C: 0.2133 0.4765 0.3126  1 H 1.11

b | Material: SrH6C2O6
Method: DFT, PBE-GGA
State: relaxed

Properties
* ρ: 2.02 g/cm³

Unit cell a=7.6201 b=8.0488 c=11.4493 alpha=90.00 beta=90.00 gamma=90.00
Last column: nearest neighbours and their distance in Å.
Positions (direct):
O: 0.6066 0.7065 0.3976  1 H 0.97
C: 0.1779 0.5303 0.2591  3 O 1.24-1.34
H: 0.5941 0.6183 0.3399  1 O 0.97
O: 0.1066 0.7935 0.6024  1 H 0.97
O: 0.6590 0.0705 0.6482  1 C 1.34, 1 O 1.47
O: 0.2769 0.4882 0.1690  1 H 1.05
C: 0.4194 0.1182 0.9877  2 H 1.11
C: 0.6779 0.9697 0.7409  3 O 1.24-1.34
H: 0.3152 0.3634 0.1584  1 O 1.05
O: 0.3992 0.3339 0.7610  1 C 1.24
O: 0.0768 0.0484 0.5062  1 C 1.36
O: 0.2584 0.2731 0.3443  1 O 1.47
C: 0.9194 0.3818 0.0123  2 H 1.11
O: 0.9232 0.5484 0.9938  1 C 1.36
O: 0.7584 0.2269 0.6557  1 O 1.47
H: 0.6906 0.6608 0.5679  1 C 1.11
O: 0.7231 0.9882 0.3310  1 H 1.05
H: 0.4576 0.6706 0.5484  1 C 1.11
C: 0.8221 0.0303 0.2409  3 O 1.24-1.34
H: 0.6466 0.3244 0.2710  1 H 0.76
H: 0.8094 0.3392 0.0679  1 C 1.11
O: 0.3410 0.5705 0.8518  1 C 1.34, 1 O 1.47
H: 0.1848 0.6366 0.6584  1 O 1.05
H: 0.4461 0.8129 0.2067  1 H 0.76
H: 0.9059 0.3817 0.8399  1 O 0.97
O: 0.2416 0.7269 0.8443  1 O 1.47
Sr: 0.8732 0.2654 0.4542  3 O 2.41-2.60
Sr: 0.3732 0.2346 0.5458  3 O 2.41-2.60
H: 0.1466 0.1756 0.7290  1 H 0.76
H: 0.0941 0.8817 0.6601  1 O 0.97
H: 0.8152 0.1366 0.8416  1 O 1.05
H: 0.6848 0.8634 0.3416  1 O 1.05
O: 0.7769 0.0118 0.8310  1 H 1.05
Sr: 0.1268 0.7654 0.0458  3 O 2.41-2.60
H: 0.1906 0.8392 0.4321  1 C 1.11
O: 0.8410 0.9295 0.1482  1 C 1.34, 1 O 1.47
H: 0.4059 0.1183 0.1601  1 O 0.97
C: 0.0806 0.8818 0.4877  2 H 1.11
H: 0.9461 0.6871 0.7933  1 H 0.76
O: 0.2231 0.5118 0.6690  1 H 1.05
Sr: 0.6268 0.7346 0.9542  3 O 2.41-2.60
H: 0.5539 0.3129 0.2933  1 H 0.76
O: 0.4232 0.9516 0.0062  1 C 1.36
H: 0.3534 0.8244 0.2290  1 H 0.76
H: 0.9576 0.8294 0.4516  1 C 1.11
O: 0.8992 0.1661 0.2390  1 C 1.24
O: 0.3934 0.2065 0.1024  1 H 0.97
C: 0.3221 0.4697 0.7591  3 O 1.24-1.34
H: 0.3094 0.1608 0.9321  1 C 1.11
O: 0.6008 0.8339 0.7390  1 C 1.24
O: 0.7416 0.7731 0.1557  1 O 1.47
O: 0.1590 0.4295 0.3518  1 C 1.34, 1 O 1.47
H: 0.0539 0.1871 0.7067  1 H 0.76
O: 0.8934 0.2935 0.8976  1 H 0.97
O: 0.1008 0.6661 0.2610  1 C 1.24
C: 0.5806 0.6182 0.5123  2 H 1.11
H: 0.8534 0.6756 0.7710  1 H 0.76
O: 0.5768 0.4516 0.4938  1 C 1.36
H: 0.5424 0.1706 0.9516  1 C 1.11
H: 0.0424 0.3294 0.0484  1 C 1.11

Calculated relative energies: a 0; b 445, given in meV/atom